No. 1
Material: Mn2OF3
Method: DFT, PBE+U
State: relaxed

Calculated values
The value obtained for the MP2020-corrected energy is -223.7 eV per cell. Its energy relative to the elements is -2.62 eV per atom. The value obtained for the volume is 75.8 Å³/f.u. The energy above the most stable polymorph in this dataset is 19.8 meV/atom. As for the electronic total energy: -6.55 eV per atom.

Cell lengths 15.9133, 4.8838, 4.8838 Å; angles 93.33, 90.00, 90.00 degrees
Last column: nearest neighbours and their distance in Å.
Element x y z (fractional)
Mn 0.0000 0.0000 0.0000  1 O 2.00, 5 F 2.12-2.15
Mn 0.0998 0.5307 0.5307  2 O 1.95-1.96, 4 F 2.12-2.18
Mn 0.1993 0.0593 0.0593  1 O 1.99, 5 F 2.12-2.14
Mn 0.2996 0.5241 0.5241  2 O 1.97-1.98, 4 F 2.11-2.17
Mn 0.3993 0.0505 0.0505  1 O 1.96, 5 F 2.10-2.12
Mn 0.5000 0.5161 0.5161  2 O 2.00, 4 F 2.17-2.18
Mn 0.6007 0.0505 0.0505  1 O 1.96, 5 F 2.10-2.12
Mn 0.7004 0.5241 0.5241  2 O 1.97-1.98, 4 F 2.11-2.17
Mn 0.8007 0.0593 0.0593  1 O 1.99, 5 F 2.12-2.14
Mn 0.9002 0.5307 0.5307  2 O 1.95-1.96, 4 F 2.12-2.18
O 0.0000 0.7012 0.7012  3 Mn 1.96-2.00
O 0.1979 0.3561 0.3561  3 Mn 1.95-1.99
O 0.3977 0.3426 0.3426  3 Mn 1.96-2.00
O 0.6023 0.3426 0.3426  3 Mn 1.96-2.00
O 0.8021 0.3561 0.3561  3 Mn 1.95-1.99
F 0.0000 0.3159 0.3159  3 Mn 2.12-2.14
F 0.1002 0.2325 0.8289  3 Mn 2.12-2.15
F 0.1002 0.8289 0.2325  3 Mn 2.12-2.15
F 0.2041 0.7416 0.7416  3 Mn 2.11-2.18
F 0.3003 0.2363 0.8468  3 Mn 2.10-2.17
F 0.3003 0.8468 0.2363  3 Mn 2.10-2.17
F 0.3995 0.7347 0.7347  3 Mn 2.12-2.17
F 0.5000 0.2311 0.8440  3 Mn 2.11-2.18
F 0.5000 0.8440 0.2311  3 Mn 2.11-2.18
F 0.6005 0.7347 0.7347  3 Mn 2.12-2.17
F 0.6997 0.2363 0.8468  3 Mn 2.10-2.17
F 0.6997 0.8468 0.2363  3 Mn 2.10-2.17
F 0.7959 0.7416 0.7416  3 Mn 2.11-2.18
F 0.8998 0.2325 0.8289  3 Mn 2.12-2.15
F 0.8998 0.8289 0.2325  3 Mn 2.12-2.15


No. 2
Material: Mn2O3F
Method: DFT, PBE+U
State: relaxed

Calculated values
The value obtained for the MP2020-corrected energy is -94.6 eV per cell. Its energy relative to the elements is -2.04 eV per atom. The value obtained for the volume is 62.7 Å³/f.u. The energy above the most stable polymorph in this dataset is 1.9 meV/atom. As for the electronic total energy: -6.91 eV per atom.

Cell lengths 4.5649, 4.5649, 6.0183 Å; angles 90.00, 90.00, 92.19 degrees
Last column: nearest neighbours and their distance in Å.
Element x y z (fractional)
Mn 0.0000 0.0000 0.0000  4 O 1.94-1.95, 2 F 2.09
Mn 0.0000 0.0000 0.5000  4 O 1.94-1.95, 2 F 2.09
Mn 0.4756 0.5244 0.7500  5 O 1.90-1.94, 1 F 2.00
Mn 0.5244 0.4756 0.2500  5 O 1.90-1.94, 1 F 2.00
O 0.1871 0.8129 0.7500  3 Mn 1.90-1.94
O 0.3080 0.3080 0.0000  3 Mn 1.94-1.95
O 0.3080 0.3080 0.5000  3 Mn 1.94-1.95
O 0.6920 0.6920 0.0000  3 Mn 1.94-1.95
O 0.6920 0.6920 0.5000  3 Mn 1.94-1.95
O 0.8129 0.1871 0.2500  3 Mn 1.90-1.94
F 0.2203 0.7797 0.2500  3 Mn 2.00-2.09
F 0.7797 0.2203 0.7500  3 Mn 2.00-2.09


No. 3
Material: LiVPO4
Method: DFT, PBE+U
State: relaxed

Calculated values
The value obtained for the MP2020-corrected energy is -655.5 eV per cell. Its energy relative to the elements is -2.63 eV per atom. The value obtained for the volume is 74.3 Å³/f.u. The energy above the most stable polymorph in this dataset is 9.8 meV/atom. As for the electronic total energy: -7.17 eV per atom.

Cell lengths 18.9125, 8.4767, 5.5595 Å; angles 90.00, 90.00, 90.00 degrees
Last column: nearest neighbours and their distance in Å.
Element x y z (fractional)
Li 0.0830 0.0810 0.0000  4 O 2.00-2.15
Li 0.0837 0.5815 0.4690  4 O 2.00-2.15
Li 0.2495 0.4164 0.9794  4 O 2.00-2.12
Li 0.2505 0.9164 0.4794  4 O 2.00-2.12
Li 0.4163 0.0815 0.9690  4 O 2.00-2.15
Li 0.4170 0.5810 0.5000  4 O 2.00-2.15
Li 0.5830 0.4190 0.0000  4 O 2.00-2.15
Li 0.5837 0.9185 0.4690  4 O 2.00-2.15
Li 0.7495 0.0836 0.9794  4 O 2.00-2.12
Li 0.7505 0.5836 0.4794  4 O 2.00-2.12
Li 0.9163 0.4185 0.9690  4 O 2.00-2.15
Li 0.9170 0.9190 0.5000  4 O 2.00-2.15
V 0.9996 0.2497 0.4839  6 O 2.16-2.21
V 0.0004 0.7503 0.9839  6 O 2.16-2.21
V 0.1663 0.2494 0.4849  6 O 2.16-2.22
V 0.1670 0.7486 0.9836  6 O 2.16-2.22
V 0.3330 0.2486 0.4836  6 O 2.16-2.22
V 0.3337 0.7494 0.9849  6 O 2.16-2.22
V 0.4996 0.2503 0.4839  6 O 2.16-2.21
V 0.5004 0.7497 0.9839  6 O 2.16-2.21
V 0.6663 0.2506 0.4849  6 O 2.16-2.22
V 0.6670 0.7514 0.9836  6 O 2.16-2.22
V 0.8330 0.2514 0.4836  6 O 2.16-2.22
V 0.8337 0.7506 0.9849  6 O 2.16-2.22
P 0.0828 0.3961 0.9822  4 O 1.53-1.58
P 0.0839 0.8963 0.4854  4 O 1.53-1.59
P 0.2496 0.1020 0.9849  4 O 1.53-1.58
P 0.2504 0.6020 0.4849  4 O 1.53-1.58
P 0.4161 0.3963 0.9854  4 O 1.53-1.59
P 0.4172 0.8961 0.4822  4 O 1.53-1.58
P 0.5828 0.1039 0.9822  4 O 1.53-1.58
P 0.5839 0.6037 0.4854  4 O 1.53-1.59
P 0.7496 0.3980 0.9849  4 O 1.53-1.58
P 0.7504 0.8980 0.4849  4 O 1.53-1.58
P 0.9161 0.1037 0.9854  4 O 1.53-1.59
P 0.9172 0.6039 0.4822  4 O 1.53-1.58
O 0.0157 0.4977 0.9805  1 P 1.53
O 0.0165 0.9975 0.4840  1 P 1.54
O 0.0829 0.2801 0.7600  1 P 1.58
O 0.0827 0.2833 0.2095  1 P 1.58
O 0.0837 0.7807 0.7081  1 P 1.58
O 0.0839 0.7830 0.2584  1 P 1.59
O 0.1504 0.4966 0.9833  1 P 1.54
O 0.1512 0.9971 0.4855  1 P 1.53
O 0.1823 0.0008 0.9871  1 P 1.53
O 0.1829 0.5014 0.4833  1 P 1.54
O 0.2494 0.2165 0.7600  1 P 1.58
O 0.2497 0.2165 0.2096  1 P 1.58
O 0.2503 0.7165 0.7096  1 P 1.58
O 0.2506 0.7165 0.2600  1 P 1.58
O 0.3171 0.0014 0.9833  1 P 1.54
O 0.3177 0.5008 0.4871  1 P 1.53
O 0.3488 0.4971 0.9855  1 P 1.53
O 0.3496 0.9966 0.4833  1 P 1.54
O 0.4163 0.2807 0.2081  1 P 1.58
O 0.4161 0.2830 0.7584  1 P 1.59
O 0.4171 0.7801 0.2600  1 P 1.58
O 0.4173 0.7833 0.7095  1 P 1.58
O 0.4835 0.4975 0.9840  1 P 1.54
O 0.4843 0.9977 0.4805  1 P 1.53
O 0.5157 0.0023 0.9805  1 P 1.53
O 0.5165 0.5025 0.4840  1 P 1.54
O 0.5827 0.2167 0.2095  1 P 1.58
O 0.5829 0.2199 0.7600  1 P 1.58
O 0.5839 0.7170 0.2584  1 P 1.59
O 0.5837 0.7193 0.7081  1 P 1.58
O 0.6504 0.0034 0.9833  1 P 1.54
O 0.6512 0.5029 0.4855  1 P 1.53
O 0.6823 0.4992 0.9871  1 P 1.53
O 0.6829 0.9986 0.4833  1 P 1.54
O 0.7494 0.2835 0.7600  1 P 1.58
O 0.7497 0.2835 0.2096  1 P 1.58
O 0.7503 0.7835 0.7096  1 P 1.58
O 0.7506 0.7835 0.2600  1 P 1.58
O 0.8171 0.4986 0.9833  1 P 1.54
O 0.8177 0.9992 0.4871  1 P 1.53
O 0.8488 0.0029 0.9855  1 P 1.53
O 0.8496 0.5034 0.4833  1 P 1.54
O 0.9161 0.2170 0.7584  1 P 1.59
O 0.9163 0.2193 0.2081  1 P 1.58
O 0.9173 0.7167 0.7095  1 P 1.58
O 0.9171 0.7199 0.2600  1 P 1.58
O 0.9835 0.0025 0.9840  1 P 1.54
O 0.9843 0.5023 0.4805  1 P 1.53


Q: Number 3 is which compound?
A: LiVPO4


Q: Among the records above, which one has the lowest MP2020-corrected energy?
A: LiVPO4


Q: The highest energy relative to the elements belongs to which entry?
A: Mn2O3F


Q: electronic total energy of number 1 (Mn2OF3)?
A: -6.55 eV per atom